(1)
Material: CeBrO
Method: DFT, GGA-PBE
State: relaxed

As for the density: 5.6 g/cm³. As for the energy relative to the elements: -69.771 kcal/mol of atoms. Its calculated volume is 23.326 A^3/atom. The total moment comes out at 6.002 μB/cell.

a = 3.9955 Å, b = 3.9955 Å, c = 30.3699 Å
α = 90.00°, β = 90.00°, γ = 120.00°
Space group R-3m (No. 166, hexagonal axes)
Unique sites:
Ce: 0.0000 0.0000 0.2151 x6
Br: 0.0000 0.0000 0.3862 x6
O: 0.0000 0.0000 0.1373 x6

=====

(2)
Material: HoAu2
Method: DFT, GGA-PBE
State: relaxed

As for the density: 14.6 g/cm³. As for the energy relative to the elements: -20.190 kcal/mol of atoms. Its calculated volume is 21.118 A^3/atom.

a = 3.7417 Å, b = 3.7417 Å, c = 9.0506 Å
α = 90.00°, β = 90.00°, γ = 90.00°
Space group I4/mmm (No. 139)
Unique sites:
Ho: 0.0000 0.0000 0.0000 x2
Au: 0.0000 0.0000 0.3356 x4

=====

(3)
Material: Nb3H12C4NCl9
Method: DFT, GGA-PBE
State: relaxed

As for the density: 2.3 g/cm³. As for the energy relative to the elements: -18.827 kcal/mol of atoms. Its calculated volume is 16.540 A^3/atom. The total moment comes out at 0.047 μB/cell.

a = 11.1483 Å, b = 11.1483 Å, c = 8.9129 Å
α = 90.00°, β = 90.00°, γ = 120.00°
Space group P-3m1 (No. 164)
Unique sites:
Nb: 0.0915 0.1830 0.1404 x6
H: 0.1338 0.4864 0.6930 x12
H: 0.1879 0.5940 0.5286 x6
H: 0.2797 0.5595 0.9168 x6
C: 0.1864 0.5932 0.6515 x6
C: 0.3333 0.6667 0.8767 x2
N: 0.3333 0.6667 0.7081 x2
Cl: 0.0000 0.3105 0.0000 x6
Cl: 0.1027 0.2054 0.6836 x6
Cl: 0.1979 0.3958 0.2999 x6

=====

(4)
Material: Ir3Se
Method: DFT, GGA-PBE
State: relaxed

As for the density: 17.7 g/cm³. As for the energy relative to the elements: 10.060 kcal/mol of atoms. Its calculated volume is 15.372 A^3/atom. The total moment comes out at 0.016 μB/cell.

a = 4.0298 Å, b = 4.0298 Å, c = 7.5727 Å
α = 90.00°, β = 90.00°, γ = 90.00°
Space group I4/mmm (No. 139)
Unique sites:
Ir: 0.0000 0.0000 0.0000 x2
Ir: 0.0000 0.5000 0.2500 x4
Se: 0.0000 0.0000 0.5000 x2

=====

(5)
Material: La2In11Ni15
Method: DFT, GGA-PBE
State: relaxed

As for the density: 8.6 g/cm³. As for the energy relative to the elements: -4.896 kcal/mol of atoms. Its calculated volume is 16.637 A^3/atom. The total moment comes out at 0.115 μB/cell.

a = 12.2479 Å, b = 12.4858 Å, c = 7.9976 Å
α = 90.00°, β = 130.38°, γ = 90.00°
Space group Cm (No. 8)
Unique sites:
La: 0.0000 0.2460 0.0000 x4
In: 0.0424 0.0000 0.2059 x2
In: 0.0483 0.5000 0.8757 x2
In: 0.1875 0.1334 0.8695 x4
In: 0.2029 0.3656 0.5348 x4
In: 0.3103 0.1393 0.4851 x4
In: 0.3105 0.3605 0.1411 x4
In: 0.4592 0.0000 0.1375 x2
Ni: 0.0034 0.0000 0.5119 x2
Ni: 0.0036 0.5000 0.5065 x2
Ni: 0.0909 0.1721 0.4685 x4
Ni: 0.0909 0.3270 0.7188 x4
Ni: 0.2411 0.0000 0.1695 x2
Ni: 0.2473 0.5000 0.3282 x2
Ni: 0.2623 0.0000 0.6895 x2
Ni: 0.2659 0.5000 0.8429 x2
Ni: 0.4155 0.3305 0.5446 x4
Ni: 0.4170 0.1712 0.2922 x4
Ni: 0.4568 0.5000 0.7780 x2

=====

(6)
Material: Ti2CoNi
Method: DFT, GGA-PBE
State: relaxed

As for the density: 6.5 g/cm³. As for the energy relative to the elements: -6.843 kcal/mol of atoms. Its calculated volume is 13.548 A^3/atom. The total moment comes out at 0.007 μB/cell.

a = 7.7152 Å, b = 7.7287 Å, c = 10.9062 Å
α = 90.00°, β = 90.00°, γ = 90.00°
Space group Imm2 (No. 44)
Unique sites:
Ti: 0.0000 0.0000 0.0000 x2
Ti: 0.0000 0.0000 0.3934 x2
Ti: 0.0000 0.5000 0.1459 x2
Ti: 0.0000 0.5000 0.7477 x2
Ti: 0.1952 0.1983 0.1990 x8
Ti: 0.1991 0.3004 0.9477 x8
Co: 0.0000 0.2483 0.5714 x4
Co: 0.0000 0.3272 0.3613 x4
Co: 0.2488 0.5000 0.3217 x4
Ni: 0.0000 0.1738 0.7842 x4
Ni: 0.1707 0.5000 0.5332 x4
Ni: 0.1720 0.0000 0.6109 x4

=====

What is the formula in the fourth record? Ir3Se

=====

The highest calculated volume belongs to which entry? CeBrO

=====

What is the energy relative to the elements in the first record? -69.771 kcal/mol of atoms

=====

Please write out number 3 again, unchanged.
Material: Nb3H12C4NCl9
Method: DFT, GGA-PBE
State: relaxed

As for the density: 2.3 g/cm³. As for the energy relative to the elements: -18.827 kcal/mol of atoms. Its calculated volume is 16.540 A^3/atom. The total moment comes out at 0.047 μB/cell.

a = 11.1483 Å, b = 11.1483 Å, c = 8.9129 Å
α = 90.00°, β = 90.00°, γ = 120.00°
Space group P-3m1 (No. 164)
Unique sites:
Nb: 0.0915 0.1830 0.1404 x6
H: 0.1338 0.4864 0.6930 x12
H: 0.1879 0.5940 0.5286 x6
H: 0.2797 0.5595 0.9168 x6
C: 0.1864 0.5932 0.6515 x6
C: 0.3333 0.6667 0.8767 x2
N: 0.3333 0.6667 0.7081 x2
Cl: 0.0000 0.3105 0.0000 x6
Cl: 0.1027 0.2054 0.6836 x6
Cl: 0.1979 0.3958 0.2999 x6